A relaxed structure of MgSi2. Source: Materials Project, functional PBE.

Lattice parameters (Å, degrees): 7.5644 3.7306 7.7061 90.00 91.61 90.00
Atoms (fractional coordinates):
1 Mg 0.1523 0.2500 0.3936
2 Mg 0.1885 0.7500 0.0413
3 Mg 0.8115 0.2500 0.9587
4 Mg 0.8477 0.7500 0.6064
5 Si 0.0958 0.2500 0.7543
6 Si 0.2853 0.7500 0.6939
7 Si 0.4335 0.7500 0.4160
8 Si 0.4674 0.2500 0.0982
9 Si 0.5326 0.7500 0.9018
10 Si 0.5665 0.2500 0.5840
11 Si 0.7147 0.2500 0.3061
12 Si 0.9042 0.7500 0.2457

DFT formation energy (eV per atom): 0.152
Corrected total energy (MP2020 scheme) (eV per atom): -3.998
SG: P2_1/m (11)
Calculated density (g cm⁻³): 2.459
Size of the total moment (μB/f.u.): 0.00
Energy above the lowest structure with this stoichiometry (eV per formula unit): 0.22

---

A relaxed structure of BaFe2S4. Source: Materials Project, functional PBE.

Lattice parameters (Å, degrees): 6.1496 6.1496 6.1496 100.36 100.36 129.83
Atoms (fractional coordinates):
1 Ba 0.0000 0.0000 0.0000
2 Fe 0.0000 0.5000 0.5000
3 Fe 0.5000 0.0000 0.5000
4 S 0.0971 0.5971 0.1942
5 S 0.4029 0.9029 0.8058
6 S 0.5971 0.4029 0.5000
7 S 0.9029 0.0971 0.5000

DFT formation energy (eV per atom): -1.124
Corrected total energy (MP2020 scheme) (eV per atom): -6.181
SG: I422 (97)
Calculated density (g cm⁻³): 3.873
Size of the total moment (μB/f.u.): 1.99
Energy above the lowest structure with this stoichiometry (eV per formula unit): 0.19

---

A relaxed structure of La6Ge11. Source: Materials Project, functional PBE.

Lattice parameters (Å, degrees): 8.8359 12.9810 14.3663 89.99 89.98 89.87
Atoms (fractional coordinates):
1 La 0.1184 0.3333 0.1212
2 La 0.1202 0.1650 0.3755
3 La 0.1204 0.5041 0.3752
4 La 0.1295 0.6643 0.1236
5 La 0.1298 0.0027 0.1233
6 La 0.1318 0.8314 0.3775
7 La 0.3682 0.6681 0.8776
8 La 0.3701 0.4972 0.6232
9 La 0.3705 0.8351 0.6240
10 La 0.3798 0.3355 0.8756
11 La 0.3797 0.9960 0.8755
12 La 0.3814 0.1672 0.6215
13 La 0.6186 0.8328 0.3785
14 La 0.6203 0.0040 0.1245
15 La 0.6202 0.6645 0.1244
16 La 0.6295 0.1649 0.3760
17 La 0.6299 0.5028 0.3768
18 La 0.6318 0.3319 0.1224
19 La 0.8682 0.1686 0.6225
20 La 0.8702 0.9973 0.8767
21 La 0.8705 0.3357 0.8764
22 La 0.8796 0.4959 0.6248
23 La 0.8798 0.8350 0.6245
24 La 0.8816 0.6667 0.8788
25 Ge 0.1063 0.8337 0.9619
26 Ge 0.1214 0.9963 0.5481
27 Ge 0.1224 0.6672 0.5373
28 Ge 0.1241 0.0407 0.7234
29 Ge 0.1240 0.6666 0.7098
30 Ge 0.1253 0.2938 0.7217
31 Ge 0.1262 0.4842 0.7856
32 Ge 0.1263 0.8486 0.7876
33 Ge 0.1280 0.1671 0.9300
34 Ge 0.1283 0.4981 0.9571
35 Ge 0.1430 0.3351 0.5431
36 Ge 0.3571 0.1650 0.0432
37 Ge 0.3717 0.0019 0.4571
38 Ge 0.3720 0.3334 0.4302
39 Ge 0.3737 0.0156 0.2857
40 Ge 0.3738 0.6513 0.2875
41 Ge 0.3746 0.2064 0.2214
42 Ge 0.3759 0.4592 0.2235
43 Ge 0.3759 0.8333 0.2097
44 Ge 0.3776 0.8324 0.0374
45 Ge 0.3786 0.5037 0.0482
46 Ge 0.3936 0.6662 0.4619
47 Ge 0.6064 0.3338 0.5381
48 Ge 0.6214 0.4963 0.9518
49 Ge 0.6224 0.1676 0.9626
50 Ge 0.6241 0.1667 0.7903
51 Ge 0.6241 0.5408 0.7765
52 Ge 0.6254 0.7936 0.7786
53 Ge 0.6262 0.3487 0.7125
54 Ge 0.6263 0.9844 0.7143
55 Ge 0.6280 0.6666 0.5698
56 Ge 0.6283 0.9981 0.5429
57 Ge 0.6429 0.8350 0.9568
58 Ge 0.8570 0.6649 0.4569
59 Ge 0.8717 0.5019 0.0429
60 Ge 0.8720 0.8329 0.0700
61 Ge 0.8737 0.1514 0.2124
62 Ge 0.8738 0.5158 0.2144
63 Ge 0.8747 0.7062 0.2783
64 Ge 0.8760 0.3334 0.2902
65 Ge 0.8759 0.9593 0.2766
66 Ge 0.8776 0.3328 0.4627
67 Ge 0.8786 0.0037 0.4519
68 Ge 0.8937 0.1663 0.0381

DFT formation energy (eV per atom): -0.735
SG: P-1 (2)
Calculated density (g cm⁻³): 6.580
Size of the total moment (μB/f.u.): 0.00

---

A relaxed structure of Rb3AsF6. Source: Materials Project, functional PBE.

Lattice parameters (Å, degrees): 7.1121 7.1299 7.1346 102.16 102.41 103.27
Atoms (fractional coordinates):
1 Rb 0.0000 0.0000 0.0000
2 Rb 0.0000 0.5000 0.5000
3 Rb 0.5000 0.0000 0.5000
4 As 0.0000 0.0000 0.5000
5 F 0.0715 0.7909 0.2935
6 F 0.2122 0.2167 0.4359
7 F 0.2148 0.9492 0.7175
8 F 0.7852 0.0508 0.2825
9 F 0.7878 0.7833 0.5641
10 F 0.9285 0.2091 0.7065

DFT formation energy (eV per atom): -2.714
Corrected total energy (MP2020 scheme) (eV per atom): -4.623
SG: P-1 (2)
Calculated density (g cm⁻³): 2.236
Size of the total moment (μB/f.u.): 0.00

---

A relaxed structure of ZrNbN2. Source: Materials Project, functional PBE.

Lattice parameters (Å, degrees): 5.4973 5.4973 5.4973 34.10 34.10 34.10
Atoms (fractional coordinates):
1 Zr 0.0000 0.0000 0.0000
2 Nb 0.5000 0.5000 0.5000
3 N 0.2492 0.2492 0.2492
4 N 0.7508 0.7508 0.7508

DFT formation energy (eV per atom): -1.465
Corrected total energy (MP2020 scheme) (eV per atom): -10.295
SG: R-3m (166)
Calculated density (g cm⁻³): 7.569
Size of the total moment (μB/f.u.): 0.00

---

A relaxed structure of In. Source: Materials Project, functional PBE.

Lattice parameters (Å, degrees): 8.6854 8.6854 8.6854 22.12 22.12 22.12
Atoms (fractional coordinates):
1 In 0.0000 0.0000 0.0000
2 In 0.2217 0.2217 0.2217
3 In 0.7783 0.7783 0.7783

DFT formation energy (eV per atom): 0.000
SG: R-3m (166)
Calculated density (g cm⁻³): 7.020
Energy above the lowest structure with this stoichiometry (eV per formula unit): 0.00

---

A relaxed structure of TaCo. Source: Materials Project, functional PBE.

Lattice parameters (Å, degrees): 3.0684 3.0684 3.0684 90.00 90.00 90.00
Atoms (fractional coordinates):
1 Ta 0.0000 0.0000 0.0000
2 Co 0.5000 0.5000 0.5000

DFT formation energy (eV per atom): -0.119
SG: Pm-3m (221)
Calculated density (g cm⁻³): 13.788
Size of the total moment (μB/f.u.): 1.80

---

A relaxed structure of Li4Ti11O24. Source: Materials Project, functional PBE.

Lattice parameters (Å, degrees): 5.0567 8.9162 9.6458 89.96 89.88 89.96
Atoms (fractional coordinates):
1 Li 0.0000 0.0000 0.0000
2 Li 0.0001 0.3352 0.9999
3 Li 0.3706 0.3368 0.4961
4 Li 0.4577 0.1674 0.1094
5 Ti 0.4047 0.6692 0.8251
6 Ti 0.4267 0.0017 0.8267
7 Ti 0.4267 0.3310 0.8313
8 Ti 0.4565 0.4963 0.1034
9 Ti 0.4680 0.8405 0.1055
10 Ti 0.9075 0.5038 0.6025
11 Ti 0.9110 0.8348 0.5980
12 Ti 0.9205 0.1637 0.6018
13 Ti 0.9398 0.3314 0.3128
14 Ti 0.9666 0.0055 0.3196
15 Ti 0.9762 0.6677 0.3240
16 O 0.1139 0.6675 0.6892
17 O 0.1183 0.9994 0.6846
18 O 0.1264 0.8323 0.4248
19 O 0.1290 0.4979 0.4246
20 O 0.1380 0.1733 0.4227
21 O 0.1391 0.3361 0.6719
22 O 0.2119 0.3513 0.1768
23 O 0.2171 0.9851 0.1766
24 O 0.2247 0.1692 0.9110
25 O 0.2311 0.4941 0.9213
26 O 0.2330 0.8409 0.9209
27 O 0.2457 0.6680 0.1866
28 O 0.6076 0.6678 0.9987
29 O 0.6125 0.8314 0.7360
30 O 0.6159 0.5035 0.7366
31 O 0.6306 0.1690 0.7388
32 O 0.6319 0.9920 0.9928
33 O 0.6336 0.3440 0.9950
34 O 0.7383 0.3340 0.5013
35 O 0.7376 0.5029 0.2408
36 O 0.7467 0.8336 0.2394
37 O 0.7484 0.6659 0.5019
38 O 0.7494 0.0038 0.5021
39 O 0.7644 0.1653 0.2411

DFT formation energy (eV per atom): -3.302
Corrected total energy (MP2020 scheme) (eV per atom): -8.770
SG: P1 (1)
Calculated density (g cm⁻³): 3.583
Size of the total moment (μB/f.u.): 0.00
Energy above the lowest structure with this stoichiometry (eV per formula unit): 0.00

---

A relaxed structure of Be13Sb. Source: Materials Project, functional PBE.

Lattice parameters (Å, degrees): 7.2663 7.2663 7.2663 60.00 60.00 60.00
Atoms (fractional coordinates):
1 Be 0.0000 0.0000 0.0000
2 Be 0.0673 0.2868 0.7132
3 Be 0.0673 0.7132 0.9327
4 Be 0.0673 0.9327 0.2868
5 Be 0.2132 0.4327 0.7868
6 Be 0.2132 0.5673 0.4327
7 Be 0.2132 0.7868 0.5673
8 Be 0.2868 0.0673 0.9327
9 Be 0.2868 0.7132 0.0673
10 Be 0.2868 0.9327 0.7132
11 Be 0.4327 0.2132 0.5673
12 Be 0.4327 0.5673 0.7868
13 Be 0.4327 0.7868 0.2132
14 Be 0.5000 0.5000 0.5000
15 Be 0.5673 0.2132 0.7868
16 Be 0.5673 0.4327 0.2132
17 Be 0.5673 0.7868 0.4327
18 Be 0.7132 0.0673 0.2868
19 Be 0.7132 0.2868 0.9327
20 Be 0.7132 0.9327 0.0673
21 Be 0.7868 0.2132 0.4327
22 Be 0.7868 0.4327 0.5673
23 Be 0.7868 0.5673 0.2132
24 Be 0.9327 0.0673 0.7132
25 Be 0.9327 0.2868 0.0673
26 Be 0.9327 0.7132 0.2868
27 Sb 0.2500 0.2500 0.2500
28 Sb 0.7500 0.7500 0.7500

DFT formation energy (eV per atom): 0.150
Corrected total energy (MP2020 scheme) (eV per atom): -3.618
SG: Fm-3c (226)
Calculated density (g cm⁻³): 2.925
Size of the total moment (μB/f.u.): 0.00

---

A relaxed structure of PmDyTl2. Source: Materials Project, functional PBE.

Lattice parameters (Å, degrees): 5.4335 5.4335 5.4335 60.00 60.00 60.00
Atoms (fractional coordinates):
1 Pm 0.0000 0.0000 0.0000
2 Dy 0.5000 0.5000 0.5000
3 Tl 0.2500 0.2500 0.2500
4 Tl 0.7500 0.7500 0.7500

DFT formation energy (eV per atom): -0.362
SG: Fm-3m (225)
Calculated density (g cm⁻³): 10.486

---

A relaxed structure of MgMoWS4. Source: Materials Project, functional PBE.

Lattice parameters (Å, degrees): 3.1985 3.1985 28.6835 90.00 90.00 120.00
Atoms (fractional coordinates):
1 Mg 0.0000 0.0000 0.0000
2 Mo 0.6667 0.3333 0.8497
3 W 0.0000 0.0000 0.1680
4 S 0.0000 0.0000 0.7955
5 S 0.0000 0.0000 0.9043
6 S 0.6667 0.3333 0.1130
7 S 0.6667 0.3333 0.2228

DFT formation energy (eV per atom): -0.963
Corrected total energy (MP2020 scheme) (eV per atom): -6.956
SG: P3m1 (156)
Calculated density (g cm⁻³): 2.825
Size of the total moment (μB/f.u.): 0.00
Energy above the lowest structure with this stoichiometry (eV per formula unit): 0.02

---

A relaxed structure of SrMg6AlO8. Source: Materials Project, functional PBE.

Lattice parameters (Å, degrees): 4.5270 4.5270 8.7567 90.00 90.00 90.00
Atoms (fractional coordinates):
1 Sr 0.0000 0.0000 0.0000
2 Mg 0.0000 0.0000 0.5000
3 Mg 0.0000 0.5000 0.2622
4 Mg 0.0000 0.5000 0.7378
5 Mg 0.5000 0.0000 0.2622
6 Mg 0.5000 0.0000 0.7378
7 Mg 0.5000 0.5000 0.5000
8 Al 0.5000 0.5000 0.0000
9 O 0.0000 0.0000 0.2734
10 O 0.0000 0.0000 0.7266
11 O 0.0000 0.5000 0.0000
12 O 0.0000 0.5000 0.5000
13 O 0.5000 0.0000 0.0000
14 O 0.5000 0.0000 0.5000
15 O 0.5000 0.5000 0.2465
16 O 0.5000 0.5000 0.7535

DFT formation energy (eV per atom): -2.710
Corrected total energy (MP2020 scheme) (eV per atom): -6.123
SG: P4/mmm (123)
Calculated density (g cm⁻³): 3.594
Size of the total moment (μB/f.u.): 0.00
Energy above the lowest structure with this stoichiometry (eV per formula unit): 0.54

---

A relaxed structure of Mg14ZrCu. Source: Materials Project, functional PBE.

Lattice parameters (Å, degrees): 6.3519 6.3519 10.0233 90.00 90.00 120.00
Atoms (fractional coordinates):
1 Mg 0.0000 0.0000 0.2449
2 Mg 0.0000 0.0000 0.7551
3 Mg 0.0149 0.5074 0.2592
4 Mg 0.0149 0.5074 0.7408
5 Mg 0.3301 0.1651 0.5000
6 Mg 0.3444 0.1722 0.0000
7 Mg 0.4926 0.5074 0.2592
8 Mg 0.4926 0.5074 0.7408
9 Mg 0.4926 0.9851 0.2592
10 Mg 0.4926 0.9851 0.7408
11 Mg 0.8278 0.1722 0.0000
12 Mg 0.8278 0.6556 0.0000
13 Mg 0.8349 0.1651 0.5000
14 Mg 0.8349 0.6699 0.5000
15 Zr 0.3333 0.6667 0.0000
16 Cu 0.3333 0.6667 0.5000

DFT formation energy (eV per atom): 0.034
SG: P-6m2 (187)
Calculated density (g cm⁻³): 2.347
Size of the total moment (μB/f.u.): 0.00

---

A relaxed structure of TlAs5S8. Source: Materials Project, functional PBE.

Lattice parameters (Å, degrees): 15.9878 8.1564 11.3609 90.00 91.59 90.00
Atoms (fractional coordinates):
1 Tl 0.2150 0.1649 0.1637
2 Tl 0.2150 0.3351 0.6637
3 Tl 0.7850 0.6649 0.3363
4 Tl 0.7850 0.8351 0.8363
5 As 0.0530 0.1736 0.4110
6 As 0.0530 0.3264 0.9110
7 As 0.0768 0.6202 0.3916
8 As 0.0768 0.8798 0.8916
9 As 0.2382 0.6428 0.0529
10 As 0.2382 0.8572 0.5529
11 As 0.3894 0.7212 0.3619
12 As 0.3894 0.7788 0.8619
13 As 0.4326 0.0360 0.6201
14 As 0.4326 0.4640 0.1201
15 As 0.5674 0.5360 0.8799
16 As 0.5674 0.9640 0.3799
17 As 0.6106 0.2212 0.1381
18 As 0.6106 0.2788 0.6381
19 As 0.7618 0.1428 0.4471
20 As 0.7618 0.3572 0.9471
21 As 0.9232 0.1202 0.1084
22 As 0.9232 0.3798 0.6084
23 As 0.9470 0.6736 0.0890
24 As 0.9470 0.8264 0.5890
25 S 0.0621 0.6426 0.5908
26 S 0.0621 0.8574 0.0908
27 S 0.0700 0.1143 0.5995
28 S 0.0700 0.3857 0.0995
29 S 0.1598 0.1097 0.9007
30 S 0.1598 0.3903 0.4007
31 S 0.1848 0.6806 0.8672
32 S 0.1848 0.8194 0.3672
33 S 0.3174 0.0838 0.4972
34 S 0.3174 0.4162 0.9972
35 S 0.3482 0.6682 0.5514
36 S 0.3482 0.8318 0.0514
37 S 0.3700 0.0434 0.7999
38 S 0.3700 0.4566 0.2999
39 S 0.4673 0.1919 0.1144
40 S 0.4673 0.3081 0.6144
41 S 0.5327 0.6919 0.3856
42 S 0.5327 0.8081 0.8856
43 S 0.6300 0.5434 0.7001
44 S 0.6300 0.9566 0.2001
45 S 0.6518 0.1682 0.9486
46 S 0.6518 0.3318 0.4486
47 S 0.6826 0.5838 0.0028
48 S 0.6826 0.9162 0.5028
49 S 0.8152 0.1806 0.6328
50 S 0.8152 0.3194 0.1328
51 S 0.8402 0.6097 0.5993
52 S 0.8402 0.8903 0.0993
53 S 0.9300 0.6143 0.9005
54 S 0.9300 0.8857 0.4005
55 S 0.9379 0.1426 0.9092
56 S 0.9379 0.3574 0.4092

DFT formation energy (eV per atom): -0.448
Corrected total energy (MP2020 scheme) (eV per atom): -4.644
SG: P2_1/c (14)
Calculated density (g cm⁻³): 3.747
Size of the total moment (μB/f.u.): 0.00

---

A relaxed structure of GeO2. Source: Materials Project, functional PBE.

Lattice parameters (Å, degrees): 4.4842 4.4842 2.9080 90.00 90.00 90.00
Atoms (fractional coordinates):
1 Ge 0.0000 0.0000 0.0000
2 Ge 0.5000 0.5000 0.5000
3 O 0.1930 0.1930 0.5000
4 O 0.3070 0.6930 0.0000
5 O 0.6930 0.3070 0.0000
6 O 0.8070 0.8070 0.5000

DFT formation energy (eV per atom): -2.073
Corrected total energy (MP2020 scheme) (eV per atom): -6.913
SG: P4_2/mnm (136)
Calculated density (g cm⁻³): 5.943

---

A relaxed structure of Ho5Mg. Source: Materials Project, functional PBE.

Lattice parameters (Å, degrees): 5.5832 9.2774 9.2774 22.04 90.00 90.00
Atoms (fractional coordinates):
1 Ho 0.0000 0.0000 0.0000
2 Ho 0.0000 0.3299 0.3299
3 Ho 0.0000 0.6678 0.6678
4 Ho 0.5000 0.1147 0.1147
5 Ho 0.5000 0.4476 0.4476
6 Mg 0.5000 0.7789 0.7789

DFT formation energy (eV per atom): 0.034
SG: Amm2 (38)
Calculated density (g cm⁻³): 7.818
Energy above the lowest structure with this stoichiometry (eV per formula unit): 0.10

---

A relaxed structure of KI. Source: Materials Project, functional PBE.

Lattice parameters (Å, degrees): 8.6929 5.0224 8.5499 90.00 90.00 90.00
Atoms (fractional coordinates):
1 K 0.0034 0.2500 0.2493
2 K 0.4966 0.7500 0.7493
3 K 0.5034 0.2500 0.2507
4 K 0.9966 0.7500 0.7507
5 I 0.2483 0.2500 0.9068
6 I 0.2517 0.7500 0.4068
7 I 0.7483 0.2500 0.5932
8 I 0.7517 0.7500 0.0932

DFT formation energy (eV per atom): -1.660
Corrected total energy (MP2020 scheme) (eV per atom): -2.978
SG: Pnma (62)
Calculated density (g cm⁻³): 2.954
Size of the total moment (μB/f.u.): 0.00